<one>
Below is ZnAgBiO5 after structural relaxation, with properties calculated at the PBE level.

Cell: 5.4742 10.6622 9.1191 Å, 90.00 115.86 90.00°
Space group P2_1/c (No. 14)
Asymmetric unit:
Zn (0.0952, 0.0814, 0.1658) [4 per cell]
Ag (0.2144, 0.6183, 0.0215) [4 per cell]
Bi (0.4840, 0.1126, 0.8581) [4 per cell]
O (0.1335, 0.0311, 0.6472) [4 per cell]
O (0.1933, 0.7039, 0.4276) [4 per cell]
O (0.2545, 0.0458, 0.9868) [4 per cell]
O (0.3075, 0.5642, 0.7764) [4 per cell]
O (0.4187, 0.1910, 0.3096) [4 per cell]

=====

<two>
Below is ZnAgBiO5 after structural relaxation, with properties calculated at the PBE level.

Cell: 5.3360 15.4432 10.3295 Å, 90.00 90.00 90.00°
Space group Pbca (No. 61)
Asymmetric unit:
Zn (0.0500, 0.0591, 0.1287) [8 per cell]
Ag (0.0294, 0.5805, 0.8850) [8 per cell]
Bi (0.0388, 0.2453, 0.3556) [8 per cell]
O (0.1234, 0.6726, 0.3097) [8 per cell]
O (0.1456, 0.5105, 0.2193) [8 per cell]
O (0.2127, 0.1719, 0.6991) [8 per cell]
O (0.2147, 0.6712, 0.0001) [8 per cell]
O (0.2305, 0.5047, 0.4756) [8 per cell]

=====

What is the least stable structure shown above? It is <two>.